Na3Ni2P2C2O14 | GGA+U | optimized geometry

**Crystal system**: monoclinic
**Space group**: Pc
**Volume**: 13.21 A^3/atom
**ΔH_f (0 K)**: -1.989 eV/atom
**Distance to the lowest polymorph of the same formula**: 0.003 eV/atom
**Magnetization**: 0.999 μB per formula unit

```
Na3Ni2P2C2O14
1.0
17.881 -0.049 0.000
0.141 5.176 0.000
0.000 0.000 6.565
Ni O Na P C
4 28 6 4 4
Direct
0.825 0.220 0.254
0.325 0.220 0.246
0.173 0.784 0.740
0.673 0.784 0.760
0.912 0.475 0.252
0.163 0.795 0.061
0.212 0.138 0.758
0.432 0.057 0.249
0.587 0.526 0.747
0.712 0.138 0.742
0.771 0.581 0.753
0.788 0.858 0.254
0.230 0.421 0.236
0.334 0.205 0.558
0.336 0.210 0.933
0.730 0.421 0.264
0.412 0.475 0.248
0.030 0.318 0.248
0.087 0.526 0.753
0.836 0.210 0.567
0.530 0.318 0.252
0.663 0.795 0.439
0.967 0.676 0.754
0.932 0.057 0.251
0.834 0.205 0.942
0.066 0.938 0.752
0.288 0.858 0.246
0.665 0.786 0.065
0.467 0.676 0.746
0.566 0.938 0.748
0.271 0.581 0.747
0.165 0.786 0.435
0.874 0.759 0.990
0.374 0.759 0.510
0.376 0.758 0.986
0.127 0.241 0.028
0.627 0.241 0.472
0.876 0.758 0.514
0.287 0.281 0.747
0.212 0.716 0.246
0.787 0.281 0.753
0.712 0.716 0.254
0.461 0.284 0.250
0.961 0.284 0.250
0.536 0.712 0.747
0.036 0.712 0.753
```